# La5Mn5O16

A relaxed La5Mn5O16 crystal (PBE+U, Materials Project).

```
data_La5Mn5O16
_symmetry_space_group_name_H-M 'P 1'
_symmetry_Int_Tables_number 1
_cell_length_a 7.867
_cell_length_b 9.500
_cell_length_c 14.740
_cell_angle_alpha 90.70
_cell_angle_beta 105.33
_cell_angle_gamma 113.43
loop_
_symmetry_equiv_pos_as_xyz
'x,y,z'
loop_
_atom_site_label
_atom_site_type_symbol
_atom_site_fract_x
_atom_site_fract_y
_atom_site_fract_z
La1 La 0.000 0.000 0.000
La2 La 0.002 0.509 0.505
La3 La 0.119 0.860 0.380
La4 La 0.136 0.386 0.874
La5 La 0.273 0.264 0.257
La6 La 0.384 0.118 0.631
La7 La 0.398 0.625 0.135
La8 La 0.500 0.994 0.997
La9 La 0.513 0.500 0.499
La10 La 0.638 0.380 0.876
La11 La 0.643 0.855 0.377
La12 La 0.753 0.276 0.259
La13 La 0.758 0.748 0.754
La14 La 0.880 0.630 0.135
La15 La 0.888 0.127 0.629
Mn1 Mn 0.070 0.189 0.441
Mn2 Mn 0.072 0.689 0.942
Mn3 Mn 0.198 0.062 0.816
Mn4 Mn 0.198 0.564 0.316
Mn5 Mn 0.321 0.444 0.689
Mn6 Mn 0.322 0.940 0.191
Mn7 Mn 0.441 0.311 0.063
Mn8 Mn 0.447 0.812 0.568
Mn9 Mn 0.569 0.689 0.940
Mn10 Mn 0.570 0.183 0.442
Mn11 Mn 0.692 0.060 0.816
Mn12 Mn 0.824 0.945 0.191
Mn13 Mn 0.825 0.440 0.692
Mn14 Mn 0.946 0.314 0.067
Mn15 Mn 0.955 0.815 0.571
O1 O 0.019 0.927 0.698
O2 O 0.051 0.427 0.665
O3 O 0.055 0.018 0.521
O4 O 0.079 0.926 0.216
O5 O 0.081 0.361 0.363
O6 O 0.116 0.461 0.184
O7 O 0.157 0.789 0.078
O8 O 0.166 0.899 0.902
O9 O 0.186 0.321 0.037
O10 O 0.205 0.813 0.579
O11 O 0.219 0.237 0.737
O12 O 0.234 0.337 0.556
O13 O 0.280 0.664 0.448
O14 O 0.315 0.199 0.419
O15 O 0.317 0.767 0.270
O16 O 0.331 0.109 0.109
O17 O 0.331 0.682 0.968
O18 O 0.364 0.213 0.931
O19 O 0.424 0.532 0.827
O20 O 0.436 0.549 0.337
O21 O 0.444 0.638 0.635
O22 O 0.448 0.086 0.798
O23 O 0.456 0.981 0.485
O24 O 0.482 0.095 0.305
O25 O 0.523 0.411 0.187
O26 O 0.554 0.517 0.021
O27 O 0.564 0.953 0.164
O28 O 0.578 0.430 0.711
O29 O 0.612 0.963 0.682
O30 O 0.622 0.871 0.873
O31 O 0.652 0.283 0.574
O32 O 0.675 0.377 0.401
O33 O 0.690 0.822 0.544
O34 O 0.703 0.305 0.091
O35 O 0.722 0.753 0.236
O36 O 0.734 0.838 0.060
O37 O 0.783 0.167 0.951
O38 O 0.802 0.265 0.767
O39 O 0.814 0.695 0.921
O40 O 0.825 0.174 0.464
O41 O 0.836 0.608 0.614
O42 O 0.861 0.714 0.446
O43 O 0.910 0.037 0.326
O44 O 0.945 0.144 0.145
O45 O 0.958 0.578 0.294
O46 O 0.961 0.069 0.838
O47 O 0.961 0.570 0.815
O48 O 0.962 0.484 0.992
```

Results
MP2020-corrected energy   -231.9 eV/f.u.
Energy of formation from the pure elements   -3.162 eV per atom
Calculated total energy   -8.175 eV per atom